{"formula": "CaFe6O4F8", "functional": "PBE+U", "state": "relaxed", "corrected_energy_ev_per_atom": -6.9609, "total_energy_ev_per_cell": -112.3, "relative_energy_mev_per_atom": 0, "magmom_total_mub_per_atom": 1.368, "cell": [[5.854, 0.000, 0.000], [-2.488, 5.513, 0.000], [-1.737, -2.143, 7.774]], "species": ["Ca", "Fe", "Fe", "Fe", "Fe", "Fe", "Fe", "O", "O", "O", "O", "F", "F", "F", "F", "F", "F", "F", "F"], "frac_coords": [[0.000, 0.000, 0.000], [0.182, 0.735, 0.331], [0.390, 0.749, 0.717], [0.495, 0.428, 0.389], [0.626, 0.147, 0.154], [0.798, 0.380, 0.830], [0.897, 0.046, 0.529], [0.332, 0.049, 0.240], [0.551, 0.760, 0.498], [0.627, 0.094, 0.925], [0.773, 0.487, 0.275], [0.044, 0.203, 0.795], [0.125, 0.711, 0.877], [0.157, 0.875, 0.571], [0.204, 0.423, 0.186], [0.209, 0.357, 0.523], [0.627, 0.626, 0.858], [0.695, 0.321, 0.566], [0.818, 0.976, 0.240]]}